No. 1
MgSi2 after structural relaxation, computed with PBE.

a = 3.7845 Å, b = 6.1431 Å, c = 9.7507 Å
α = 77.48°, β = 90.00°, γ = 90.00°
Fractional coordinates of all 12 atoms:
Mg 0.0000 0.8769 0.1512
Mg 0.0000 0.5757 0.8298
Mg 0.5000 0.9709 0.6749
Mg 0.5000 0.4801 0.3339
Si 0.0000 0.0996 0.8400
Si 0.5000 0.5620 0.0449
Si 0.0000 0.1225 0.4024
Si 0.5000 0.5801 0.6013
Si 0.0000 0.3360 0.1529
Si 0.5000 0.1728 0.9810
Si 0.0000 0.3369 0.5961
Si 0.5000 0.8868 0.3914

Summary:
* DFT total energy: -48.24 eV for the cell shown
* energy above the most stable polymorph in this dataset: 100 meV/atom

=====

No. 2
K9Ta2VS12 after structural relaxation, computed with PBE.

a = 9.3358 Å, b = 14.4236 Å, c = 21.8289 Å
α = 78.92°, β = 89.99°, γ = 89.99°
Fractional coordinates of all 96 atoms:
K 0.6378 0.6943 0.4442
K 0.6368 0.3607 0.1107
K 0.6378 0.0275 0.7776
K 0.1360 0.8059 0.5560
K 0.1366 0.4722 0.2221
K 0.1363 0.1399 0.8899
K 0.3628 0.9724 0.2224
K 0.3628 0.6391 0.8890
K 0.3629 0.3057 0.5558
K 0.8627 0.8611 0.1109
K 0.8627 0.5275 0.7777
K 0.8628 0.1943 0.4443
K 0.5562 0.9601 0.4152
K 0.5558 0.6265 0.0818
K 0.5562 0.2934 0.7486
K 0.0558 0.2069 0.2514
K 0.0553 0.8731 0.9188
K 0.0553 0.5398 0.5855
K 0.4462 0.4346 0.3873
K 0.4452 0.1024 0.0540
K 0.4462 0.7679 0.7206
K 0.9434 0.7312 0.2785
K 0.9451 0.3976 0.9460
K 0.9433 0.0646 0.6119
K 0.4462 0.7048 0.2521
K 0.4452 0.3712 0.9196
K 0.4462 0.0382 0.5855
K 0.9433 0.4610 0.4137
K 0.9451 0.1288 0.0804
K 0.9433 0.7942 0.7470
K 0.5558 0.2336 0.2783
K 0.5562 0.9003 0.9451
K 0.5561 0.5668 0.6118
K 0.0552 0.9341 0.3883
K 0.0558 0.5996 0.0551
K 0.0552 0.2674 0.7217
Ta 0.2157 0.9955 0.7455
Ta 0.2157 0.6622 0.4122
Ta 0.2841 0.8287 0.0788
Ta 0.2841 0.4954 0.7455
Ta 0.2841 0.1621 0.4120
Ta 0.7843 0.6712 0.9213
Ta 0.7844 0.3379 0.5879
Ta 0.7843 0.0047 0.2546
V 0.7150 0.1714 0.9214
V 0.7148 0.8381 0.5881
V 0.7150 0.5047 0.2547
V 0.2150 0.3286 0.0786
S 0.8280 0.9260 0.5122
S 0.8280 0.5926 0.1788
S 0.8282 0.2593 0.8455
S 0.3342 0.5688 0.4922
S 0.3282 0.2408 0.1546
S 0.3342 0.9022 0.8256
S 0.1654 0.9666 0.0429
S 0.1653 0.6333 0.7097
S 0.1653 0.3000 0.3764
S 0.6660 0.8667 0.2902
S 0.6654 0.5333 0.9570
S 0.6660 0.2000 0.6235
S 0.1653 0.7352 0.1588
S 0.1653 0.4017 0.8255
S 0.1653 0.0685 0.4920
S 0.6654 0.0982 0.1746
S 0.6661 0.7646 0.8412
S 0.6660 0.4313 0.5078
S 0.8280 0.7076 0.6214
S 0.8280 0.3742 0.2880
S 0.8282 0.0409 0.9547
S 0.3342 0.8001 0.3766
S 0.3282 0.4592 0.0454
S 0.3342 0.1334 0.7100
S 0.5025 0.8070 0.5570
S 0.5026 0.4736 0.2236
S 0.5023 0.1403 0.8903
S 0.9913 0.6947 0.4447
S 0.0023 0.3597 0.1097
S 0.9914 0.0280 0.7780
S 0.5082 0.8613 0.1113
S 0.5082 0.5280 0.7780
S 0.5082 0.1946 0.4446
S 0.0083 0.9720 0.2220
S 0.0083 0.6387 0.8887
S 0.0085 0.3054 0.5553
S 0.6949 0.5811 0.3311
S 0.6952 0.2477 0.9977
S 0.6948 0.9144 0.6645
S 0.1940 0.5818 0.3318
S 0.1952 0.2523 0.0023
S 0.1940 0.9151 0.6651
S 0.3065 0.0820 0.3316
S 0.3065 0.7482 0.9985
S 0.3064 0.4151 0.6651
S 0.8065 0.0851 0.3350
S 0.8065 0.7517 0.0017
S 0.8065 0.4184 0.6683

Summary:
* DFT total energy: -488.47 eV for the cell shown

=====

No. 3
Cr24P11C after structural relaxation, computed with PBE.

a = 3.1774 Å, b = 6.1974 Å, c = 21.4642 Å
α = 90.00°, β = 90.00°, γ = 90.00°
Fractional coordinates of all 36 atoms:
Cr 0.5000 0.0997 0.2500
Cr 0.5000 0.5983 0.5001
Cr 0.5000 0.1135 0.7500
Cr 0.5000 0.5983 0.9999
Cr 0.5000 0.2003 0.0998
Cr 0.5000 0.7004 0.3501
Cr 0.5000 0.2079 0.6034
Cr 0.5000 0.6836 0.8430
Cr 0.5000 0.7004 0.1499
Cr 0.5000 0.2003 0.4002
Cr 0.5000 0.6836 0.6570
Cr 0.5000 0.2079 0.8966
Cr 0.0000 0.2588 0.9986
Cr 0.0000 0.7584 0.2500
Cr 0.0000 0.2588 0.5014
Cr 0.0000 0.7367 0.7500
Cr 0.0000 0.3706 0.1853
Cr 0.0000 0.8712 0.4360
Cr 0.0000 0.3830 0.6927
Cr 0.0000 0.8699 0.9327
Cr 0.0000 0.8712 0.0640
Cr 0.0000 0.3706 0.3147
Cr 0.0000 0.8699 0.5673
Cr 0.0000 0.3830 0.8073
P 0.0000 0.9997 0.1666
P 0.0000 0.4995 0.4169
P 0.0000 0.9996 0.6687
P 0.0000 0.5020 0.9145
P 0.0000 0.4995 0.0831
P 0.0000 0.9997 0.3334
P 0.0000 0.5020 0.5855
P 0.0000 0.9996 0.8313
P 0.5000 0.9987 0.9982
P 0.5000 0.5001 0.2500
P 0.5000 0.9987 0.5018
C 0.5000 0.5041 0.7500

Summary:
* DFT total energy: -312.23 eV for the cell shown

=====

Number 1: formation energy from the elements 0.5 eV per formula unit. Number 2: formation energy from the elements -35.7 eV per formula unit. Number 3: formation energy from the elements -11.8 eV per formula unit.